P) Computed, not measured: a relaxed structure of Sb2S3O12 at the PBE level of DFT.

Cell and atoms, written as POSCAR:
```
Sb2S3O12
1.0
7.0163 -4.5616 0.0000
7.0163 4.5616 0.0000
-4.0446 0.0000 8.3692
Sb S O
4 6 24
Direct
0.1287 0.6439 0.9730
0.3561 0.8713 0.5270
0.6439 0.1287 0.4730
0.8713 0.3561 0.0270
0.0440 0.2547 0.6734
0.2547 0.0440 0.1734
0.4394 0.5606 0.7500
0.5606 0.4394 0.2500
0.7453 0.9560 0.8266
0.9560 0.7453 0.3266
0.0112 0.3620 0.5696
0.0408 0.3659 0.8440
0.0927 0.8446 0.3781
0.1107 0.2291 0.1888
0.1554 0.9073 0.1219
0.2291 0.1107 0.6888
0.2847 0.6061 0.8199
0.3620 0.0112 0.0696
0.3659 0.0408 0.3440
0.3907 0.4486 0.1240
0.3939 0.7153 0.6801
0.4486 0.3907 0.6240
0.5514 0.6093 0.3760
0.6061 0.2847 0.3199
0.6093 0.5514 0.8760
0.6341 0.9592 0.6560
0.6380 0.9888 0.9304
0.7153 0.3939 0.1801
0.7709 0.8893 0.3112
0.8446 0.0927 0.8781
0.8893 0.7709 0.8112
0.9073 0.1554 0.6219
0.9592 0.6341 0.1560
0.9888 0.6380 0.4304
```

SG = C2/c (15)



Q) Computed, not measured: a relaxed structure of Sb2S3O12 at the PBE level of DFT.

Cell and atoms, written as POSCAR:
```
Sb2S3O12
1.0
4.4504 2.5695 8.1065
-4.4504 2.5695 8.1065
0.0000 -5.1389 8.1065
Sb S O
4 6 24
Direct
0.1428 0.1428 0.1428
0.3476 0.3476 0.3476
0.6524 0.6524 0.6524
0.8572 0.8572 0.8572
0.0405 0.7510 0.4559
0.2490 0.5441 0.9595
0.4559 0.0405 0.7510
0.5441 0.9595 0.2490
0.7510 0.4559 0.0405
0.9595 0.2490 0.5441
0.0178 0.8022 0.5901
0.1353 0.8597 0.2671
0.1403 0.7329 0.8647
0.1412 0.2078 0.5320
0.1516 0.5536 0.4941
0.1978 0.4099 0.9822
0.2078 0.5320 0.1412
0.2671 0.1353 0.8597
0.4099 0.9822 0.1978
0.4464 0.5059 0.8484
0.4680 0.8588 0.7922
0.4941 0.1516 0.5536
0.5059 0.8484 0.4464
0.5320 0.1412 0.2078
0.5536 0.4941 0.1516
0.5901 0.0178 0.8022
0.7329 0.8647 0.1403
0.7922 0.4680 0.8588
0.8022 0.5901 0.0178
0.8484 0.4464 0.5059
0.8588 0.7922 0.4680
0.8597 0.2671 0.1353
0.8647 0.1403 0.7329
0.9822 0.1978 0.4099
```

SG = R-3 (148)



Most stable: Q) (next structure +41 meV/atom)



P) Computed, not measured: a relaxed structure of Sb2S3O12 at the PBE level of DFT.

Cell and atoms, written as POSCAR:
```
Sb2S3O12
1.0
13.3641 0.0000 0.0000
0.0000 4.8984 0.0000
-10.6570 0.0000 14.4602
Sb S O
8 12 48
Direct
0.1118 0.2085 0.4373
0.1118 0.2915 0.9373
0.3570 0.0742 0.7836
0.3570 0.4258 0.2836
0.6430 0.5742 0.7164
0.6430 0.9258 0.2164
0.8882 0.7085 0.0627
0.8882 0.7915 0.5627
0.1627 0.6450 0.6072
0.1627 0.8550 0.1072
0.1710 0.6691 0.3234
0.1710 0.8309 0.8234
0.4422 0.0589 0.6101
0.4422 0.4411 0.1101
0.5578 0.5589 0.8899
0.5578 0.9411 0.3899
0.8290 0.1691 0.1766
0.8290 0.3309 0.6766
0.8373 0.1450 0.8928
0.8373 0.3550 0.3928
0.0509 0.5269 0.5961
0.0509 0.9731 0.0961
0.0867 0.5533 0.2306
0.0867 0.9467 0.7306
0.1365 0.5776 0.0694
0.1365 0.9224 0.5694
0.1413 0.5630 0.3887
0.1413 0.9370 0.8887
0.1710 0.5351 0.8287
0.1710 0.9649 0.3287
0.2011 0.0438 0.0617
0.2011 0.4562 0.5617
0.2700 0.6460 0.7078
0.2700 0.8540 0.2078
0.3027 0.5604 0.3660
0.3027 0.9396 0.8660
0.3197 0.0573 0.5198
0.3197 0.4427 0.0198
0.4427 0.5382 0.1874
0.4427 0.9618 0.6874
0.4682 0.1109 0.3951
0.4682 0.3891 0.8951
0.4839 0.1414 0.1246
0.4839 0.3586 0.6246
0.5161 0.6414 0.3754
0.5161 0.8586 0.8754
0.5318 0.6109 0.1049
0.5318 0.8891 0.6049
0.5573 0.0382 0.3126
0.5573 0.4618 0.8126
0.6803 0.5573 0.9802
0.6803 0.9427 0.4802
0.6973 0.0604 0.1340
0.6973 0.4396 0.6340
0.7300 0.1460 0.7922
0.7300 0.3540 0.2922
0.7989 0.5438 0.4383
0.7989 0.9562 0.9383
0.8290 0.0351 0.6713
0.8290 0.4649 0.1713
0.8587 0.0630 0.1113
0.8587 0.4370 0.6113
0.8635 0.0776 0.4306
0.8635 0.4224 0.9306
0.9133 0.0533 0.2694
0.9133 0.4467 0.7694
0.9491 0.0269 0.9039
0.9491 0.4731 0.4039
```

SG = P2_1/c (14)



Q) Computed, not measured: a relaxed structure of Sb2S3O12 at the PBE level of DFT.

Cell and atoms, written as POSCAR:
```
Sb2S3O12
1.0
9.2303 0.0000 0.0000
0.0000 9.2149 0.0000
-9.2259 0.0000 12.7733
Sb S O
8 12 48
Direct
0.1305 0.0365 0.3814
0.1305 0.4635 0.8814
0.3647 0.0356 0.1164
0.3647 0.4644 0.6164
0.6353 0.5356 0.3836
0.6353 0.9644 0.8836
0.8695 0.5365 0.1186
0.8695 0.9635 0.6186
0.0441 0.7455 0.5063
0.0441 0.7545 0.0063
0.2460 0.1172 0.8462
0.2460 0.3828 0.3462
0.4479 0.6067 0.8462
0.4479 0.8933 0.3462
0.5521 0.1067 0.6538
0.5521 0.3933 0.1538
0.7540 0.6172 0.6538
0.7540 0.8828 0.1538
0.9559 0.2455 0.9937
0.9559 0.2545 0.4937
0.0237 0.6354 0.9367
0.0237 0.8646 0.4367
0.0269 0.6986 0.0886
0.0269 0.8014 0.5886
0.0944 0.1335 0.0589
0.0944 0.3665 0.5589
0.0994 0.0074 0.7853
0.0994 0.4926 0.2853
0.1722 0.2331 0.3108
0.1722 0.2669 0.8108
0.2264 0.6800 0.5591
0.2264 0.8200 0.0591
0.2906 0.6169 0.8503
0.2906 0.8831 0.3503
0.3262 0.0985 0.9589
0.3262 0.4015 0.4589
0.3830 0.0957 0.8257
0.3830 0.4043 0.3257
0.3900 0.0651 0.5501
0.3900 0.4349 0.0501
0.4125 0.0108 0.2695
0.4125 0.4892 0.7695
0.4711 0.7474 0.8100
0.4711 0.7526 0.3100
0.5289 0.2474 0.6900
0.5289 0.2526 0.1900
0.5875 0.5108 0.2305
0.5875 0.9892 0.7305
0.6100 0.5651 0.9499
0.6100 0.9349 0.4499
0.6170 0.5957 0.6743
0.6170 0.9043 0.1743
0.6738 0.5985 0.5411
0.6738 0.9015 0.0411
0.7094 0.1169 0.6497
0.7094 0.3831 0.1497
0.7736 0.1800 0.9409
0.7736 0.3200 0.4409
0.8278 0.7331 0.1892
0.8278 0.7669 0.6892
0.9006 0.5074 0.7147
0.9006 0.9926 0.2147
0.9056 0.6335 0.4411
0.9056 0.8665 0.9411
0.9731 0.1986 0.4114
0.9731 0.3014 0.9114
0.9763 0.1354 0.5633
0.9763 0.3646 0.0633
```

SG = P2_1/c (14)



Most stable: P) (next structure +9 meV/atom)



P) Computed, not measured: a relaxed structure of Sb2S3O12 at the PBE level of DFT.

Cell and atoms, written as POSCAR:
```
Sb2S3O12
1.0
4.6517 2.6856 7.6021
-4.6517 2.6856 7.6021
0.0000 -5.3713 7.6021
Sb S O
4 6 24
Direct
0.1387 0.1387 0.1387
0.3613 0.3613 0.3613
0.6387 0.6387 0.6387
0.8613 0.8613 0.8613
0.0453 0.7500 0.4547
0.2500 0.5453 0.9547
0.4547 0.0453 0.7500
0.5453 0.9547 0.2500
0.7500 0.4547 0.0453
0.9547 0.2500 0.5453
0.0079 0.8087 0.5949
0.0595 0.8976 0.2817
0.0949 0.3087 0.5079
0.1024 0.7183 0.9405
0.1913 0.4051 0.9921
0.2183 0.6024 0.4405
0.2817 0.0595 0.8976
0.3087 0.5079 0.0949
0.3976 0.5595 0.7817
0.4051 0.9921 0.1913
0.4405 0.2183 0.6024
0.4921 0.9051 0.6913
0.5079 0.0949 0.3087
0.5595 0.7817 0.3976
0.5949 0.0079 0.8087
0.6024 0.4405 0.2183
0.6913 0.4921 0.9051
0.7183 0.9405 0.1024
0.7817 0.3976 0.5595
0.8087 0.5949 0.0079
0.8976 0.2817 0.0595
0.9051 0.6913 0.4921
0.9405 0.1024 0.7183
0.9921 0.1913 0.4051
```

SG = R-3c (167)



Q) Computed, not measured: a relaxed structure of Sb2S3O12 at the PBE level of DFT.

Cell and atoms, written as POSCAR:
```
Sb2S3O12
1.0
9.0726 0.0000 0.0000
0.0000 9.2326 0.0000
0.0000 0.0000 25.4540
Sb S O
16 24 96
Direct
0.0038 0.1193 0.0634
0.0038 0.3807 0.5634
0.0090 0.1960 0.3204
0.0090 0.3040 0.8204
0.4910 0.6960 0.3204
0.4910 0.8040 0.8204
0.4962 0.6193 0.0634
0.4962 0.8807 0.5634
0.5038 0.1193 0.4366
0.5038 0.3807 0.9366
0.5090 0.1960 0.1796
0.5090 0.3040 0.6796
0.9910 0.6960 0.1796
0.9910 0.8040 0.6796
0.9962 0.6193 0.4366
0.9962 0.8807 0.9366
0.1441 0.5551 0.2972
0.1441 0.9449 0.7972
0.1489 0.2363 0.4497
0.1489 0.2637 0.9497
0.1905 0.0876 0.6163
0.1905 0.4124 0.1163
0.3095 0.5876 0.6163
0.3095 0.9124 0.1163
0.3511 0.7363 0.4497
0.3511 0.7637 0.9497
0.3559 0.0551 0.2972
0.3559 0.4449 0.7972
0.6441 0.5551 0.2028
0.6441 0.9449 0.7028
0.6489 0.2363 0.0503
0.6489 0.2637 0.5503
0.6905 0.0876 0.8837
0.6905 0.4124 0.3837
0.8095 0.5876 0.8837
0.8095 0.9124 0.3837
0.8511 0.7363 0.0503
0.8511 0.7637 0.5503
0.8559 0.0551 0.2028
0.8559 0.4449 0.7028
0.0716 0.1032 0.4599
0.0716 0.3968 0.9599
0.0853 0.1364 0.9830
0.0853 0.3636 0.4830
0.0891 0.1788 0.5818
0.0891 0.3212 0.0818
0.0900 0.5940 0.3498
0.0900 0.9060 0.8498
0.0935 0.6682 0.2589
0.0935 0.8318 0.7589
0.0939 0.0903 0.7799
0.0939 0.4097 0.2799
0.0947 0.0156 0.6562
0.0947 0.4844 0.1562
0.1394 0.2126 0.8941
0.1394 0.2874 0.3941
0.1889 0.0527 0.2969
0.1889 0.4473 0.7969
0.1903 0.7334 0.4658
0.1903 0.7666 0.9658
0.2023 0.6805 0.6434
0.2023 0.8195 0.1434
0.2401 0.0190 0.0810
0.2401 0.4810 0.5810
0.2599 0.5190 0.0810
0.2599 0.9810 0.5810
0.2977 0.1805 0.6434
0.2977 0.3195 0.1434
0.3097 0.2334 0.4658
0.3097 0.2666 0.9658
0.3111 0.5527 0.2969
0.3111 0.9473 0.7969
0.3606 0.7126 0.8941
0.3606 0.7874 0.3941
0.4053 0.5156 0.6562
0.4053 0.9844 0.1562
0.4061 0.5903 0.7799
0.4061 0.9097 0.2799
0.4065 0.1682 0.2589
0.4065 0.3318 0.7589
0.4100 0.0940 0.3498
0.4100 0.4060 0.8498
0.4109 0.6788 0.5818
0.4109 0.8212 0.0818
0.4147 0.6364 0.9830
0.4147 0.8636 0.4830
0.4284 0.6032 0.4599
0.4284 0.8968 0.9599
0.5716 0.1032 0.0401
0.5716 0.3968 0.5401
0.5853 0.1364 0.5170
0.5853 0.3636 0.0170
0.5891 0.1788 0.9182
0.5891 0.3212 0.4182
0.5900 0.5940 0.1502
0.5900 0.9060 0.6502
0.5935 0.6682 0.2411
0.5935 0.8318 0.7411
0.5939 0.0903 0.7201
0.5939 0.4097 0.2201
0.5947 0.0156 0.8438
0.5947 0.4844 0.3438
0.6394 0.2126 0.6059
0.6394 0.2874 0.1059
0.6889 0.0527 0.2031
0.6889 0.4473 0.7031
0.6903 0.7334 0.0342
0.6903 0.7666 0.5342
0.7023 0.6805 0.8566
0.7023 0.8195 0.3566
0.7401 0.0190 0.4190
0.7401 0.4810 0.9190
0.7599 0.5190 0.4190
0.7599 0.9810 0.9190
0.7977 0.1805 0.8566
0.7977 0.3195 0.3566
0.8097 0.2334 0.0342
0.8097 0.2666 0.5342
0.8111 0.5527 0.2031
0.8111 0.9473 0.7031
0.8606 0.7126 0.6059
0.8606 0.7874 0.1059
0.9053 0.5156 0.8438
0.9053 0.9844 0.3438
0.9061 0.5903 0.7201
0.9061 0.9097 0.2201
0.9065 0.1682 0.2411
0.9065 0.3318 0.7411
0.9100 0.0940 0.1502
0.9100 0.4060 0.6502
0.9109 0.6788 0.9182
0.9109 0.8212 0.4182
0.9147 0.6364 0.5170
0.9147 0.8636 0.0170
0.9284 0.6032 0.0401
0.9284 0.8968 0.5401
```

SG = Pbca (61)



Most stable: P) (next structure +9 meV/atom)